(1)
Material: SnO2
Method: DFT, PBE
State: relaxed

Values from the calculation:
For the formation energy, the calculation gives -1821 meV per atom. Its calculated volume is 139 Å³/cell. The energy comes out at -6.00 eV/atom.

Cell: 5.3052 3.5715 7.3103 Å, 90.00 90.00 90.00°
Space group Pnma (No. 62)
Unique sites:
Sn (0.2336, 0.2500, 0.0831)
O (0.0296, 0.7500, 0.1327)
O (0.1161, 0.2500, 0.3857)

(2)
Material: Y6Nb4Al43
Method: DFT, PBE
State: relaxed

Values from the calculation:
For the formation energy, the calculation gives -336 meV per atom. Its calculated volume is 1912 Å³/cell. The energy comes out at -4.87 eV/atom.

Cell: 11.1424 11.1424 17.7789 Å, 90.00 90.00 120.00°
Space group P6_3/mcm (No. 193)
Unique sites:
Y (0.0000, 0.4703, 0.0961)
Nb (0.0000, 0.0000, 0.0000)
Nb (0.0000, 0.2740, 0.2500)
Al (0.0000, 0.1468, 0.7500)
Al (0.0000, 0.1589, 0.1153)
Al (0.0000, 0.2561, 0.5303)
Al (0.1497, 0.5543, 0.2500)
Al (0.1568, 0.3943, 0.6639)
Al (0.2472, 0.4944, 0.0000)
Al (0.3333, 0.6667, 0.1265)

(3)
Material: K3Li
Method: DFT, PBE
State: relaxed

Values from the calculation:
For the formation energy, the calculation gives 113 meV per atom. Its calculated volume is 911 Å³/cell. The energy comes out at -1.20 eV/atom.

Cell: 9.6930 9.6930 9.6930 Å, 90.00 90.00 90.00°
Space group Fm-3m (No. 225)
Unique sites:
K (0.0000, 0.0000, 0.0000)
K (0.2500, 0.2500, 0.2500)
Li (0.0000, 0.0000, 0.5000)

(4)
Material: CaSnO6
Method: DFT, PBE
State: relaxed

Values from the calculation:
For the formation energy, the calculation gives -906 meV per atom. Its energy above the most stable polymorph in this dataset is 0.099 eV/atom. Its calculated volume is 682 Å³/cell. The energy comes out at -4.85 eV/atom.

Cell: 8.8026 8.8026 8.8026 Å, 90.00 90.00 90.00°
Space group Fm-3m (No. 225)
Unique sites:
Ca (0.0000, 0.0000, 0.0000)
Sn (0.0000, 0.0000, 0.5000)
O (0.0000, 0.0000, 0.2658)

(5)
Material: Sn3Ge
Method: DFT, PBE
State: relaxed

Values from the calculation:
For the formation energy, the calculation gives 158 meV per atom. Its calculated volume is 103 Å³/cell. The energy comes out at -4.01 eV/atom.

Cell: 4.6857 4.6857 4.6857 Å, 90.00 90.00 90.00°
Space group Pm-3m (No. 221)
Unique sites:
Sn (0.0000, 0.0000, 0.5000)
Ge (0.5000, 0.5000, 0.5000)

(6)
Material: Eu2B4O9
Method: DFT, PBE
State: relaxed

Values from the calculation:
For the formation energy, the calculation gives -2999 meV per atom. Its calculated volume is 2933 Å³/cell. The energy comes out at -8.70 eV/atom.

Cell: 25.9375 4.5438 25.2551 Å, 90.00 99.81 90.00°
Space group C2/c (No. 15)
Unique sites:
Eu (0.0120, 0.1637, 0.1786)
Eu (0.0642, 0.2928, 0.5705)
Eu (0.1414, 0.1740, 0.2920)
Eu (0.1556, 0.2701, 0.4607)
Eu (0.2156, 0.2964, 0.6302)
B (0.0322, 0.3191, 0.4345)
B (0.0520, 0.3245, 0.7752)
B (0.0734, 0.1997, 0.9689)
B (0.0920, 0.3702, 0.8765)
B (0.0996, 0.3250, 0.6922)
B (0.1456, 0.1938, 0.1629)
B (0.1473, 0.2170, 0.0583)
B (0.1958, 0.3394, 0.8667)
B (0.2420, 0.2236, 0.0385)
B (0.2482, 0.1675, 0.2181)
O (0.0000, 0.1879, 0.7500)
O (0.0187, 0.1950, 0.0852)
O (0.0267, 0.3844, 0.9575)
O (0.0479, 0.3262, 0.6590)
O (0.0514, 0.3629, 0.2736)
O (0.0621, 0.1166, 0.4776)
O (0.0629, 0.3597, 0.3893)
O (0.0651, 0.1976, 0.8308)
O (0.0946, 0.2132, 0.7460)
O (0.1064, 0.2013, 0.9262)
O (0.1066, 0.3423, 0.0159)
O (0.1196, 0.3630, 0.1999)
O (0.1302, 0.3209, 0.1088)
O (0.1352, 0.1318, 0.6656)
O (0.1432, 0.4886, 0.8646)
O (0.1523, 0.0936, 0.5551)
O (0.1970, 0.0318, 0.8662)
O (0.1982, 0.3747, 0.0550)
O (0.2034, 0.2306, 0.1738)
O (0.2128, 0.4688, 0.8146)
O (0.2250, 0.0633, 0.9865)
O (0.2290, 0.4648, 0.9180)
O (0.2319, 0.0475, 0.7567)

- Which formula does entry 6 have?
  Eu2B4O9

- What is the energy in the fifth record?
  -4.01 eV/atom

- Number 2 is which compound?
  Y6Nb4Al43

- Among the records above, which one has the highest energy?
  K3Li